(1)
{
  "formula": "Y2Se3O20",
  "functional": "GGA-PBE",
  "state": "optimized geometry",
  "cell": [[6.287, -3.492, 0.000], [6.287, 3.492, 0.000], [-3.427, 0.000, 19.497]],
  "species": ["Y", "Y", "Y", "Y", "Se", "Se", "Se", "Se", "Se", "Se", "O", "O", "O", "O", "O", "O", "O", "O", "O", "O", "O", "O", "O", "O", "O", "O", "O", "O", "O", "O", "O", "O", "O", "O", "O", "O", "O", "O", "O", "O", "O", "O", "O", "O", "O", "O", "O", "O", "O", "O"],
  "fractional_positions": [[0.145, 0.176, 0.394], [0.176, 0.145, 0.894], [0.824, 0.855, 0.106], [0.855, 0.824, 0.606], [0.179, 0.233, 0.084], [0.233, 0.179, 0.584], [0.278, 0.722, 0.750], [0.722, 0.278, 0.250], [0.767, 0.821, 0.416], [0.821, 0.767, 0.916], [0.037, 0.756, 0.715], [0.079, 0.214, 0.004], [0.082, 0.452, 0.587], [0.083, 0.147, 0.138], [0.107, 0.490, 0.113], [0.147, 0.083, 0.638], [0.184, 0.811, 0.142], [0.189, 0.816, 0.358], [0.202, 0.772, 0.581], [0.214, 0.079, 0.504], [0.228, 0.798, 0.919], [0.244, 0.963, 0.785], [0.272, 0.344, 0.818], [0.320, 0.378, 0.425], [0.344, 0.272, 0.318], [0.378, 0.320, 0.925], [0.390, 0.549, 0.814], [0.451, 0.610, 0.686], [0.452, 0.082, 0.087], [0.490, 0.107, 0.613], [0.510, 0.893, 0.387], [0.548, 0.918, 0.913], [0.549, 0.390, 0.314], [0.610, 0.451, 0.186], [0.622, 0.680, 0.075], [0.656, 0.728, 0.682], [0.680, 0.622, 0.575], [0.728, 0.656, 0.182], [0.756, 0.037, 0.215], [0.772, 0.202, 0.081], [0.786, 0.921, 0.496], [0.798, 0.228, 0.419], [0.811, 0.184, 0.642], [0.816, 0.189, 0.858], [0.853, 0.917, 0.362], [0.893, 0.510, 0.887], [0.917, 0.853, 0.862], [0.918, 0.548, 0.413], [0.921, 0.786, 0.996], [0.963, 0.244, 0.285]],
  "magnetic_moment_mub_per_fu": 16.00,
  "spacegroup": "C2/c (15)"
}

(2)
{
  "formula": "ZnSeO3",
  "functional": "GGA-PBE",
  "state": "optimized geometry",
  "cell": [[6.352, 0.000, 0.000], [0.000, 12.077, 0.000], [0.000, 0.000, 7.516]],
  "species": ["Zn", "Zn", "Zn", "Zn", "Zn", "Zn", "Zn", "Zn", "Se", "Se", "Se", "Se", "Se", "Se", "Se", "Se", "O", "O", "O", "O", "O", "O", "O", "O", "O", "O", "O", "O", "O", "O", "O", "O", "O", "O", "O", "O", "O", "O", "O", "O"],
  "fractional_positions": [[0.134, 0.095, 0.109], [0.134, 0.405, 0.609], [0.366, 0.595, 0.109], [0.366, 0.905, 0.609], [0.634, 0.095, 0.391], [0.634, 0.405, 0.891], [0.866, 0.595, 0.391], [0.866, 0.905, 0.891], [0.111, 0.143, 0.538], [0.111, 0.357, 0.038], [0.389, 0.643, 0.538], [0.389, 0.857, 0.038], [0.611, 0.143, 0.962], [0.611, 0.357, 0.462], [0.889, 0.643, 0.962], [0.889, 0.857, 0.462], [0.015, 0.594, 0.156], [0.015, 0.906, 0.656], [0.158, 0.565, 0.527], [0.158, 0.935, 0.027], [0.203, 0.231, 0.966], [0.203, 0.269, 0.466], [0.297, 0.731, 0.966], [0.297, 0.769, 0.466], [0.342, 0.065, 0.527], [0.342, 0.435, 0.027], [0.485, 0.094, 0.156], [0.485, 0.406, 0.656], [0.515, 0.594, 0.344], [0.515, 0.906, 0.844], [0.658, 0.565, 0.973], [0.658, 0.935, 0.473], [0.703, 0.231, 0.534], [0.703, 0.269, 0.034], [0.797, 0.731, 0.534], [0.797, 0.769, 0.034], [0.842, 0.065, 0.973], [0.842, 0.435, 0.473], [0.985, 0.094, 0.344], [0.985, 0.406, 0.844]],
  "spacegroup": "Pbca (61)"
}

(3)
{
  "formula": "Zn3Se3O10",
  "functional": "GGA-PBE",
  "state": "optimized geometry",
  "cell": [[8.201, 0.000, 0.000], [3.011, 7.775, 0.000], [3.228, 2.821, 7.693]],
  "species": ["Zn", "Zn", "Zn", "Zn", "Zn", "Zn", "Se", "Se", "Se", "Se", "Se", "Se", "O", "O", "O", "O", "O", "O", "O", "O", "O", "O", "O", "O", "O", "O", "O", "O", "O", "O", "O", "O"],
  "fractional_positions": [[0.000, 0.000, 0.000], [0.036, 0.660, 0.798], [0.180, 0.292, 0.572], [0.500, 0.500, 0.500], [0.820, 0.708, 0.428], [0.964, 0.340, 0.202], [0.203, 0.575, 0.212], [0.329, 0.844, 0.681], [0.342, 0.213, 0.905], [0.658, 0.787, 0.095], [0.671, 0.156, 0.319], [0.797, 0.425, 0.788], [0.043, 0.771, 0.239], [0.059, 0.428, 0.330], [0.137, 0.825, 0.856], [0.161, 0.094, 0.285], [0.161, 0.386, 0.967], [0.256, 0.034, 0.960], [0.270, 0.054, 0.526], [0.293, 0.692, 0.617], [0.311, 0.491, 0.376], [0.364, 0.301, 0.680], [0.636, 0.699, 0.320], [0.689, 0.509, 0.624], [0.707, 0.308, 0.383], [0.730, 0.946, 0.474], [0.744, 0.966, 0.040], [0.839, 0.614, 0.033], [0.839, 0.906, 0.715], [0.863, 0.175, 0.144], [0.941, 0.572, 0.670], [0.957, 0.229, 0.761]],
  "magnetic_moment_mub_per_fu": 1.98,
  "spacegroup": "P-1 (2)"
}

(4)
{
  "formula": "ZnSeO3",
  "functional": "GGA-PBE",
  "state": "optimized geometry",
  "cell": [[6.004, 0.000, 0.000], [0.000, 7.810, 0.000], [0.000, 0.000, 5.136]],
  "species": ["Zn", "Zn", "Zn", "Zn", "Se", "Se", "Se", "Se", "O", "O", "O", "O", "O", "O", "O", "O", "O", "O", "O", "O"],
  "fractional_positions": [[0.000, 0.000, 0.000], [0.000, 0.500, 0.000], [0.500, 0.000, 0.500], [0.500, 0.500, 0.500], [0.028, 0.250, 0.485], [0.472, 0.750, 0.985], [0.528, 0.250, 0.015], [0.972, 0.750, 0.515], [0.078, 0.250, 0.820], [0.189, 0.078, 0.366], [0.189, 0.422, 0.366], [0.311, 0.578, 0.866], [0.311, 0.922, 0.866], [0.422, 0.750, 0.320], [0.578, 0.250, 0.680], [0.689, 0.078, 0.134], [0.689, 0.422, 0.134], [0.811, 0.578, 0.634], [0.811, 0.922, 0.634], [0.922, 0.750, 0.180]],
  "magnetic_moment_mub_per_fu": 0.00,
  "spacegroup": "Pnma (62)"
}

(5)
{
  "formula": "ZnSeO10",
  "functional": "GGA-PBE",
  "state": "optimized geometry",
  "cell": [[7.953, 0.000, 0.000], [0.000, 7.953, 0.000], [0.000, 0.000, 13.883]],
  "species": ["Zn", "Zn", "Zn", "Zn", "Se", "Se", "Se", "Se", "O", "O", "O", "O", "O", "O", "O", "O", "O", "O", "O", "O", "O", "O", "O", "O", "O", "O", "O", "O", "O", "O", "O", "O", "O", "O", "O", "O", "O", "O", "O", "O", "O", "O", "O", "O", "O", "O", "O", "O"],
  "fractional_positions": [[0.118, 0.118, 0.000], [0.382, 0.618, 0.250], [0.618, 0.382, 0.750], [0.882, 0.882, 0.500], [0.209, 0.791, 0.750], [0.291, 0.291, 0.500], [0.709, 0.709, 0.000], [0.791, 0.209, 0.250], [0.021, 0.236, 0.102], [0.089, 0.819, 0.158], [0.096, 0.349, 0.510], [0.105, 0.879, 0.638], [0.121, 0.895, 0.862], [0.132, 0.827, 0.412], [0.151, 0.596, 0.760], [0.173, 0.868, 0.088], [0.181, 0.911, 0.342], [0.236, 0.021, 0.898], [0.264, 0.521, 0.352], [0.319, 0.411, 0.908], [0.327, 0.368, 0.162], [0.349, 0.096, 0.490], [0.368, 0.327, 0.838], [0.379, 0.395, 0.388], [0.395, 0.379, 0.612], [0.404, 0.849, 0.740], [0.411, 0.319, 0.092], [0.479, 0.736, 0.148], [0.521, 0.264, 0.648], [0.589, 0.681, 0.592], [0.596, 0.151, 0.240], [0.605, 0.621, 0.112], [0.621, 0.605, 0.888], [0.632, 0.673, 0.338], [0.651, 0.904, 0.990], [0.673, 0.632, 0.662], [0.681, 0.589, 0.408], [0.736, 0.479, 0.852], [0.764, 0.979, 0.398], [0.819, 0.089, 0.842], [0.827, 0.132, 0.588], [0.849, 0.404, 0.260], [0.868, 0.173, 0.912], [0.879, 0.105, 0.362], [0.895, 0.121, 0.138], [0.904, 0.651, 0.010], [0.911, 0.181, 0.658], [0.979, 0.764, 0.602]],
  "magnetic_moment_mub_per_fu": 4.00,
  "spacegroup": "P4_12_12 (92)"
}

(6)
{
  "formula": "SiO4",
  "functional": "GGA-PBE",
  "state": "optimized geometry",
  "cell": [[4.996, 0.000, 0.000], [-2.491, 4.430, 0.000], [-0.472, -2.429, 10.456]],
  "species": ["Si", "Si", "Si", "O", "O", "O", "O", "O", "O", "O", "O", "O", "O", "O", "O"],
  "fractional_positions": [[0.000, 0.000, 0.000], [0.198, 0.959, 0.651], [0.510, 0.949, 0.110], [0.117, 0.166, 0.827], [0.136, 0.631, 0.639], [0.293, 0.969, 0.016], [0.294, 0.745, 0.263], [0.328, 0.164, 0.505], [0.370, 0.064, 0.244], [0.409, 0.179, 0.755], [0.527, 0.557, 0.485], [0.634, 0.711, 0.044], [0.638, 0.668, 0.371], [0.885, 0.953, 0.760], [0.902, 0.235, 0.064]],
  "magnetic_moment_mub_per_fu": 0.00,
  "spacegroup": "P1 (1)",
  "polymorph_energy_mev_per_atom": 640
}

Number 1: MP2020-corrected energy -5.6665 eV per atom, energy of formation -771 meV per atom, final energy -0.376 Ry per atom. Number 2: MP2020-corrected energy -5.4223 eV per atom, energy of formation -1502 meV per atom, final energy -0.368 Ry per atom. Number 3: MP2020-corrected energy -5.2543 eV per atom, energy of formation -1270 meV per atom, final energy -0.355 Ry per atom. Number 4: MP2020-corrected energy -5.3602 eV per atom, energy of formation -1440 meV per atom, final energy -0.364 Ry per atom. Number 5: MP2020-corrected energy -4.7440 eV per atom, energy of formation -224 meV per atom, final energy -0.339 Ry per atom. Number 6: MP2020-corrected energy -5.5638 eV per atom, energy of formation -520 meV per atom, final energy -0.399 Ry per atom.